Ca8TiMn7O21 | PBE with a Hubbard U | relaxed Values from VASP.

Properties
DFT formation energy = -253.2 kJ per mole of atoms
distance to the lowest polymorph of the same formula = 37 meV/atom
raw total energy = -7.108 eV/atom
space-group type = No. 6
volume = 471 Å³/cell

Cell and atoms, written as Quantum ESPRESSO input:
```
&SYSTEM
  ibrav = 0, nat = 37, ntyp = 4
/
ATOMIC_SPECIES
Mn 54.94 Mn.upf
O 16.00 O.upf
Ti 47.87 Ti.upf
Ca 40.08 Ca.upf
ATOMIC_POSITIONS crystal
Mn 0.008 0.000 0.501
O 0.497 0.745 0.024
O 0.252 0.500 0.033
Mn 0.511 0.000 0.479
O 0.501 0.745 0.475
Ti 0.015 0.000 0.991
Ca 0.233 0.264 0.240
O 0.260 0.500 0.489
O 0.736 0.500 0.042
O 0.567 0.000 0.231
O 0.749 0.500 0.486
O 0.497 0.255 0.024
O 0.013 0.249 0.505
Ca 0.759 0.754 0.714
O 0.013 0.751 0.505
Ca 0.732 0.741 0.258
Ca 0.271 0.265 0.695
O 0.962 0.000 0.764
O 0.762 0.000 0.485
Ca 0.759 0.246 0.714
O 0.257 0.000 0.476
Mn 0.989 0.500 0.011
Ca 0.271 0.735 0.695
Mn 0.498 0.500 0.990
O 0.947 0.795 0.076
O 0.947 0.205 0.076
O 0.492 0.500 0.748
Mn 0.003 0.500 0.498
Ca 0.233 0.736 0.240
O 0.999 0.500 0.759
Mn 0.506 0.500 0.499
O 0.240 0.000 0.041
O 0.016 0.500 0.257
Ca 0.732 0.259 0.258
O 0.528 0.000 0.748
O 0.501 0.255 0.475
Mn 0.497 0.000 0.998
CELL_PARAMETERS angstrom
-6.163 -1.706 4.488
4.290 -5.159 3.929
2.130 5.553 4.966
```

---

Na3U6CrF30 | PBE with a Hubbard U | relaxed Values from VASP.

Properties
DFT formation energy = -361.8 kJ per mole of atoms
raw total energy = -6.823 eV/atom
space-group type = No. 165
volume = 1111 Å³/cell

Cell and atoms, written as Quantum ESPRESSO input:
```
&SYSTEM
  ibrav = 0, nat = 80, ntyp = 4
/
ATOMIC_SPECIES
F 19.00 F.upf
Na 22.99 Na.upf
U 238.03 U.upf
Cr 52.00 Cr.upf
ATOMIC_POSITIONS crystal
F 0.097 0.183 0.661
Na 0.000 0.000 0.500
U 0.075 0.675 0.602
F 0.567 0.698 0.284
Na 0.333 0.667 0.337
F 0.433 0.302 0.716
U 0.325 0.400 0.602
U 0.325 0.925 0.102
F 0.489 0.829 0.137
F 0.302 0.869 0.284
F 0.183 0.097 0.839
F 0.183 0.086 0.339
F 0.191 0.307 0.981
U 0.925 0.325 0.398
F 0.659 0.171 0.363
Na 0.333 0.667 0.837
F 0.131 0.433 0.284
F 0.467 0.588 0.949
U 0.400 0.325 0.898
F 0.698 0.131 0.716
F 0.086 0.183 0.161
F 0.511 0.341 0.363
F 0.307 0.191 0.519
U 0.600 0.675 0.102
F 0.885 0.693 0.519
F 0.693 0.885 0.981
F 0.086 0.903 0.661
F 0.120 0.533 0.949
F 0.809 0.693 0.019
F 0.817 0.914 0.661
F 0.903 0.817 0.339
F 0.489 0.659 0.637
F 0.588 0.467 0.551
F 0.829 0.489 0.363
F 0.809 0.115 0.519
F 0.412 0.880 0.949
U 0.925 0.600 0.898
F 0.903 0.086 0.839
F 0.588 0.120 0.051
F 0.120 0.588 0.449
F 0.171 0.511 0.637
F 0.115 0.809 0.981
F 0.829 0.341 0.863
F 0.191 0.885 0.481
F 0.869 0.302 0.216
F 0.341 0.511 0.137
F 0.341 0.829 0.637
F 0.698 0.567 0.216
F 0.131 0.698 0.784
Cr 0.000 0.000 0.750
F 0.659 0.489 0.863
Na 0.667 0.333 0.663
F 0.171 0.659 0.137
F 0.880 0.412 0.551
F 0.467 0.880 0.449
F 0.885 0.191 0.019
U 0.675 0.075 0.898
F 0.412 0.533 0.449
F 0.533 0.412 0.051
F 0.693 0.809 0.481
Cr 0.000 0.000 0.250
Na 0.000 0.000 0.000
F 0.533 0.120 0.551
F 0.914 0.097 0.339
F 0.914 0.817 0.839
F 0.869 0.567 0.716
F 0.302 0.433 0.784
F 0.115 0.307 0.481
U 0.675 0.600 0.398
F 0.511 0.171 0.863
F 0.433 0.131 0.216
F 0.307 0.115 0.019
U 0.600 0.925 0.602
Na 0.667 0.333 0.163
F 0.567 0.869 0.784
U 0.400 0.075 0.398
F 0.097 0.914 0.161
F 0.880 0.467 0.051
U 0.075 0.400 0.102
F 0.817 0.903 0.161
CELL_PARAMETERS angstrom
0.641 3.182 -9.357
-8.821 -0.467 4.478
1.520 12.262 4.273
```

---

FeH9N3F3 | PBE with a Hubbard U | relaxed Values from VASP.

Properties
DFT formation energy = -95.9 kJ per mole of atoms
raw total energy = -5.126 eV/atom
space-group type = No. 14
volume = 575 Å³/cell

Cell and atoms, written as Quantum ESPRESSO input:
```
&SYSTEM
  ibrav = 0, nat = 64, ntyp = 4
/
ATOMIC_SPECIES
H 1.01 H.upf
F 19.00 F.upf
N 14.01 N.upf
Fe 55.84 Fe.upf
ATOMIC_POSITIONS crystal
H 0.585 0.422 0.930
H 0.210 0.787 0.257
H 0.482 0.057 0.833
F 0.337 0.468 0.419
H 0.058 0.933 0.187
H 0.501 0.350 0.679
N 0.569 0.782 0.235
N 0.317 0.520 0.120
H 0.753 0.334 0.459
Fe 0.750 0.770 0.358
Fe 0.750 0.770 0.858
F 0.918 0.762 0.465
N 0.931 0.782 0.735
F 0.164 0.994 0.866
H 0.909 0.761 0.651
Fe 0.250 0.230 0.642
H 0.915 0.422 0.430
N 0.183 0.520 0.620
F 0.336 0.994 0.366
H 0.091 0.239 0.349
F 0.582 0.762 0.965
H 0.591 0.761 0.151
Fe 0.250 0.230 0.142
H 0.180 0.475 0.736
H 0.172 0.984 0.051
H 0.001 0.650 0.821
H 0.942 0.067 0.813
H 0.018 0.057 0.333
F 0.664 0.006 0.634
N 0.069 0.218 0.265
H 0.290 0.787 0.757
F 0.082 0.238 0.535
H 0.253 0.666 0.041
H 0.820 0.525 0.264
H 0.409 0.239 0.849
N 0.338 0.949 0.662
H 0.442 0.933 0.687
H 0.415 0.578 0.070
H 0.518 0.943 0.167
N 0.817 0.480 0.380
H 0.828 0.016 0.949
H 0.680 0.525 0.764
N 0.162 0.949 0.162
H 0.710 0.213 0.243
F 0.163 0.468 0.919
F 0.837 0.532 0.081
F 0.418 0.238 0.035
F 0.836 0.006 0.134
H 0.558 0.067 0.313
H 0.247 0.666 0.541
N 0.838 0.051 0.838
H 0.499 0.650 0.321
H 0.982 0.943 0.667
H 0.747 0.334 0.959
H 0.790 0.213 0.743
H 0.999 0.350 0.179
N 0.683 0.480 0.880
N 0.431 0.218 0.765
H 0.672 0.016 0.449
F 0.663 0.532 0.581
H 0.085 0.578 0.570
N 0.662 0.051 0.338
H 0.320 0.475 0.236
H 0.328 0.984 0.551
CELL_PARAMETERS angstrom
-4.067 -1.514 -8.645
-5.394 -4.162 3.267
-9.564 2.462 4.069
```

---

SrLaMn2O6 | PBE with a Hubbard U | relaxed Values from VASP.

Properties
DFT formation energy = -266.7 kJ per mole of atoms
distance to the lowest polymorph of the same formula = 0 meV/atom
raw total energy = -7.482 eV/atom
space-group type = No. 111
volume = 714 Å³/cell

Cell and atoms, written as Quantum ESPRESSO input:
```
&SYSTEM
  ibrav = 0, nat = 60, ntyp = 4
/
ATOMIC_SPECIES
Mn 54.94 Mn.upf
Sr 87.62 Sr.upf
O 16.00 O.upf
La 138.91 La.upf
ATOMIC_POSITIONS crystal
Mn 0.500 0.000 0.917
Sr 0.500 0.500 0.334
Sr 0.500 0.500 0.666
O 0.216 0.216 0.919
La 0.000 0.000 0.000
Mn 0.500 0.000 0.250
O 0.500 0.000 0.500
O 0.211 0.789 0.416
Sr 0.500 0.500 0.500
O 0.000 0.500 0.000
O 0.284 0.716 0.248
O 0.716 0.716 0.752
O 0.273 0.273 0.417
O 0.500 0.000 0.333
Sr 0.500 0.500 0.000
O 0.784 0.784 0.252
O 0.789 0.211 0.416
Mn 0.000 0.500 0.083
Mn 0.500 0.000 0.083
O 0.784 0.216 0.748
O 0.000 0.500 0.667
Mn 0.000 0.500 0.583
O 0.715 0.285 0.914
O 0.500 0.000 0.667
O 0.000 0.500 0.333
O 0.000 0.500 0.500
Mn 0.000 0.500 0.750
Mn 0.500 0.000 0.417
O 0.500 0.000 0.000
O 0.500 0.000 0.167
La 0.000 0.000 0.333
La 0.500 0.500 0.167
O 0.784 0.216 0.081
O 0.216 0.216 0.252
Sr 0.000 0.000 0.167
O 0.789 0.789 0.584
O 0.716 0.284 0.248
O 0.727 0.727 0.417
O 0.284 0.284 0.752
La 0.000 0.000 0.667
O 0.727 0.273 0.583
O 0.285 0.285 0.086
O 0.000 0.500 0.167
O 0.273 0.727 0.583
O 0.500 0.000 0.833
O 0.784 0.784 0.919
O 0.216 0.784 0.748
O 0.000 0.500 0.833
O 0.211 0.211 0.584
Mn 0.000 0.500 0.417
Sr 0.000 0.000 0.833
La 0.500 0.500 0.833
O 0.216 0.784 0.081
La 0.000 0.000 0.500
O 0.715 0.715 0.086
O 0.285 0.715 0.914
Mn 0.500 0.000 0.583
Mn 0.500 0.000 0.750
Mn 0.000 0.500 0.917
Mn 0.000 0.500 0.250
CELL_PARAMETERS angstrom
5.496 0.000 0.000
0.000 5.496 0.000
0.000 0.000 23.646
```

---

SrMoO4 | PBE with a Hubbard U | relaxed Values from VASP.

Properties
DFT formation energy = -257.2 kJ per mole of atoms
raw total energy = -7.062 eV/atom
space-group type = No. 88
volume = 184 Å³/cell

Cell and atoms, written as Quantum ESPRESSO input:
```
&SYSTEM
  ibrav = 0, nat = 12, ntyp = 3
/
ATOMIC_SPECIES
O 16.00 O.upf
Sr 87.62 Sr.upf
Mo 95.94 Mo.upf
ATOMIC_POSITIONS crystal
O 0.947 0.844 0.627
O 0.217 0.320 0.373
O 0.070 0.197 0.603
Sr 0.250 0.750 0.500
Mo 0.750 0.250 0.500
O 0.680 0.053 0.897
Mo 0.000 0.000 0.000
O 0.533 0.930 0.127
O 0.803 0.406 0.873
Sr 0.500 0.500 0.000
O 0.156 0.783 0.103
O 0.594 0.467 0.397
CELL_PARAMETERS angstrom
-2.744 2.744 6.111
2.744 -2.744 6.111
2.744 2.744 -6.111
```

---

MnNb2Zn2O8 | PBE with a Hubbard U | relaxed Values from VASP.

Properties
DFT formation energy = -242.8 kJ per mole of atoms
raw total energy = -7.462 eV/atom
space-group type = No. 15
volume = 313 Å³/cell

Cell and atoms, written as Quantum ESPRESSO input:
```
&SYSTEM
  ibrav = 0, nat = 26, ntyp = 4
/
ATOMIC_SPECIES
O 16.00 O.upf
Mn 54.94 Mn.upf
Zn 65.41 Zn.upf
Nb 92.91 Nb.upf
ATOMIC_POSITIONS crystal
O 0.037 0.820 0.932
O 0.434 0.687 0.092
O 0.180 0.963 0.568
O 0.837 0.550 0.868
O 0.820 0.037 0.432
Mn 0.659 0.341 0.250
Zn 0.875 0.567 0.236
O 0.687 0.434 0.592
O 0.450 0.163 0.632
Nb 0.045 0.722 0.265
Zn 0.433 0.125 0.264
Zn 0.567 0.875 0.736
O 0.566 0.313 0.908
Nb 0.955 0.278 0.735
Nb 0.722 0.045 0.765
O 0.313 0.566 0.408
O 0.963 0.180 0.068
O 0.163 0.450 0.132
O 0.717 0.921 0.059
O 0.550 0.837 0.368
O 0.283 0.079 0.941
Zn 0.125 0.433 0.764
Mn 0.341 0.659 0.750
Nb 0.278 0.955 0.235
O 0.921 0.717 0.559
O 0.079 0.283 0.441
CELL_PARAMETERS angstrom
-3.506 -6.697 -6.943
-1.289 -2.008 -9.983
4.762 -2.346 -0.146
```